Record 1
28
Lattice="5.1388 -2.9820 0.0000 5.1388 2.9820 0.0000 -3.2919 0.0000 9.4740" Properties=species:S:1:pos:R:3 comment="PBE+U LiCo5O7F, optimized geometry" rho_g_cm3=4.95 relative_energy_mev_per_atom=12 pbc="T T T"
Li 0.0000 0.0000 0.0000
Li 3.4953 0.0000 4.7303
Co 0.0787 0.0000 5.5070
Co 3.4346 0.0000 1.5114
Co 4.4028 1.5211 7.9526
Co 1.8201 0.0000 7.9378
Co 6.0492 1.4659 3.2059
Co 6.8586 0.0000 0.7680
Co 6.9259 0.0000 6.2637
Co 6.0492 -1.4659 3.2059
Co 8.5945 0.0000 3.2171
Co 4.4028 -1.5211 7.9526
O 2.5282 1.6526 2.1494
O -1.4216 0.0000 6.8025
O 0.8797 1.3320 6.8783
O 1.5468 0.0000 4.2188
O 4.4275 1.6521 4.1582
O 0.0767 0.0000 9.0859
O 2.7701 1.3294 8.8952
O 0.8797 -1.3320 6.8783
O 5.3612 0.0000 2.0683
O 2.5282 -1.6526 2.1494
O 2.7701 -1.3294 8.8952
O 5.0379 0.0000 8.9677
O 6.8866 0.0000 4.3549
O 4.4275 -1.6521 4.1582
F 0.0787 0.0000 1.8795
F 3.5773 0.0000 6.6161

=====

Record 2
60
Lattice="5.3064 0.0000 0.0000 -0.0609 9.1022 0.0000 -0.0339 -0.0146 14.3794" Properties=species:S:1:pos:R:3 comment="PBE+U Li2Co4OF8, optimized geometry" rho_g_cm3=3.99 relative_energy_mev_per_atom=66 pbc="T T T"
Li 0.0000 0.0000 0.0000
Li -0.0129 0.4171 4.5282
Li -0.0078 0.4937 11.5530
Li 0.0735 0.2766 7.4348
Li 2.5151 4.9516 7.3821
Li 2.5479 5.1489 14.2460
Li 2.5615 4.5586 11.6841
Li 2.7269 4.6045 4.4912
Co -0.0542 6.1363 9.0057
Co 0.0172 6.1420 12.0861
Co 0.0348 3.5606 13.8026
Co 0.0859 6.3299 4.8566
Co 0.1178 3.3713 6.8266
Co 0.1137 6.4068 2.1372
Co 0.1588 3.2623 9.4841
Co 2.5317 7.8431 4.9088
Co 2.5834 1.7497 2.4773
Co 2.5846 1.7734 6.7768
Co 2.6050 1.7960 9.4881
Co 2.5954 1.7432 13.9405
Co 2.5676 7.8523 9.2870
Co 2.5952 7.8211 2.1742
Co 2.5884 7.8689 12.1297
Co 5.2623 3.2852 2.3824
O 0.7801 4.6408 8.2237
O 1.0576 7.5973 3.5319
O 1.0915 1.8659 8.1358
O 1.0771 4.8605 12.9793
F 0.7200 1.6636 13.2047
F 0.7775 1.7453 3.3291
F 0.7101 7.9784 12.8548
F 0.7814 7.8199 8.3336
F 0.8874 4.8141 3.3589
F 1.6230 0.2555 5.8023
F 1.6661 3.1064 1.0308
F 1.7026 6.4882 10.6793
F 1.8095 3.1724 10.6606
F 1.8191 6.3853 1.0523
F 1.9005 0.3465 1.0235
F 1.8889 0.1624 10.6641
F 1.8852 3.3743 5.7734
F 1.8975 6.1253 5.7925
F 3.4464 0.2167 3.4717
F 3.4522 0.2858 8.2211
F 3.4192 6.4040 8.2516
F 3.4364 3.3780 13.1499
F 3.5022 3.2760 3.3185
F 3.4778 6.2799 12.9564
F 3.6039 3.2820 8.0944
F 3.6426 0.2685 13.0460
F 3.6845 6.3450 3.4782
F 4.2242 1.8711 1.0198
F 4.1960 7.7712 10.7247
F 4.3828 7.8402 1.1933
F 4.4182 1.8026 10.4390
F 4.4207 4.7840 5.6870
F 4.4016 7.9392 5.6383
F 4.4718 1.6785 6.0161
F 4.4871 4.9346 10.6070
F 4.5999 4.7301 1.0585

=====

Record 3
20
Lattice="5.0765 0.0000 0.0000 2.4480 4.9313 0.0000 2.2270 1.8374 8.4490" Properties=species:S:1:pos:R:3 comment="PBE+U Li4Co4O3F9, optimized geometry" rho_g_cm3=3.79 pbc="T T T"
Li 0.0000 0.0000 0.0000
Li 2.3197 1.6363 2.1241
Li 4.7888 3.3742 4.2164
Li 7.2063 5.0784 6.4235
Co 2.0940 1.2811 5.1253
Co 4.8447 2.9432 7.2005
Co 4.9202 2.7149 0.8638
Co 7.2144 4.3581 2.9435
O 6.3677 3.8960 7.8729
O 5.7309 3.2393 2.3319
O 5.7614 2.1921 5.5965
F 1.4413 1.4672 0.4102
F 3.8664 5.3553 3.4162
F 3.9496 4.4120 5.9935
F 2.9737 2.6741 3.8908
F 3.2098 3.7023 1.2950
F 3.2397 1.6891 6.7390
F 6.2036 4.9756 4.6614
F 4.1457 1.0525 1.8582
F 7.9398 6.0439 8.1549

=====

Record 4
30
Lattice="5.5451 0.0000 0.0000 0.0000 10.9362 0.0000 -2.7444 0.0000 4.8451" Properties=species:S:1:pos:R:3 comment="PBE+U Li8CoO5F, optimized geometry" rho_g_cm3=2.41 relative_energy_mev_per_atom=2 pbc="T T T"
Li -0.4734 0.0000 1.0277
Li -2.3065 1.6390 4.2655
Li -0.6046 10.9299 3.9121
Li 0.2908 5.4605 2.5564
Li 1.3570 3.7951 0.8309
Li 1.3778 9.3860 0.8453
Li 0.6648 1.6551 2.3385
Li -0.2283 7.1041 4.1806
Li 3.0290 1.6360 0.6645
Li 2.1359 7.1232 2.5066
Li 1.4229 3.9179 3.9998
Li 1.4437 9.2632 4.0142
Li 2.5099 10.9286 2.2887
Li 3.4053 5.4618 0.9330
Li 3.2741 5.4681 3.8174
Li 5.1071 7.1071 0.5796
Co -1.3435 8.5750 2.4350
Co 4.1442 3.1069 2.4101
O 4.1765 1.0984 2.4154
O -1.3758 6.5665 2.4297
O -2.2090 3.5424 3.9845
O -0.4485 9.0006 3.9579
O 0.4025 3.5480 2.4611
O 1.3699 0.6417 0.8161
O 1.4308 6.1098 4.0290
O 2.3982 9.0161 2.3840
O 3.2492 3.5325 0.8872
O 5.0097 9.0105 0.8606
F 1.3840 6.1448 0.8234
F 1.4167 0.6767 4.0217

=====

Record 5
44
Lattice="3.7190 0.0000 0.0000 -0.0042 9.4081 0.0000 -0.0065 -2.8766 12.8409" Properties=species:S:1:pos:R:3 comment="PBE+U Li4CoOF5, optimized geometry" rho_g_cm3=2.92 relative_energy_mev_per_atom=22 pbc="T T T"
Li 0.0000 0.0000 0.0000
Li -0.0022 -1.4325 6.4293
Li -0.0017 -0.5892 3.8865
Li 3.7169 2.6822 0.7225
Li 3.7104 0.6457 11.0027
Li -0.0035 2.1021 4.6123
Li 0.0000 -2.0093 10.2901
Li 1.8486 2.5561 9.6181
Li 1.8554 3.9849 3.2266
Li 1.8533 3.3906 7.0805
Li 1.8574 4.8312 0.6842
Li 1.8534 6.6674 3.9329
Li 1.8560 7.5265 1.3954
Li 1.8528 5.2428 10.3494
Li 1.8565 6.0647 7.8096
Li 3.7097 1.2345 7.1465
Co -0.0085 3.5892 11.9197
Co -0.0051 5.0376 5.5203
Co 1.8556 -0.3945 8.7143
Co 1.8570 1.0520 2.3075
O 3.7136 -0.3940 8.7155
O -0.0018 1.0529 2.3052
O 1.8507 3.5879 11.9037
O 1.8547 5.0379 5.5311
F 3.7140 0.3233 5.5144
F -0.0057 -1.1036 11.9293
F 3.7125 3.0962 6.4050
F 3.7102 1.6723 12.8072
F -0.0039 4.0151 3.7783
F -0.0034 7.4844 0.8150
F 3.7130 6.9707 4.6358
F -0.0037 6.0859 7.2595
F -0.0060 5.5171 11.0386
F 1.8437 1.5075 7.8430
F 1.8500 0.5637 10.4161
F 1.8594 0.0353 0.5654
F 1.8561 2.0671 4.0472
F 1.8579 2.9667 1.4198
F 1.8522 4.3110 8.7199
F 1.8556 5.7556 2.3027
F 1.8538 8.5422 3.1821
F 1.8581 -1.3575 7.0173
F 1.8618 7.1153 9.6008
F 3.7087 2.5380 10.1878

=====

Record 6
28
Lattice="-2.3909 -4.8258 2.2598 7.8516 -2.8019 2.3241 -0.6552 2.7366 5.1519" Properties=species:S:1:pos:R:3 comment="PBE+U Li2CoOF3, optimized geometry" rho_g_cm3=3.26 relative_energy_mev_per_atom=0 pbc="T T T"
Li 1.2013 -1.2228 2.4340
Li 3.6041 -3.6683 7.3019
Li 0.8738 0.1455 5.0099
Li 3.9317 -5.0366 4.7259
Li 0.7862 -3.3484 5.0033
Li 5.5798 -0.9682 7.6114
Li -0.7743 -3.9230 2.1244
Li 4.0193 -1.5428 4.7326
Co 3.9258 -1.4010 1.1621
Co -0.3276 1.3683 2.5759
Co -1.5231 -1.0446 3.7058
Co 2.7303 -3.8138 2.2920
O -1.9972 -2.7665 3.3008
O 2.7964 -0.3864 5.9089
O 2.0090 -4.5048 3.8270
O 6.8026 -2.1246 6.4351
F 3.0885 -1.8703 3.0478
F 5.4912 -4.3160 7.9158
F -0.6857 -0.5752 1.8201
F 1.7170 -3.0208 6.6881
F 0.9080 -3.0878 1.7184
F 3.3108 -5.5335 6.5865
F 2.0416 -0.8001 0.6473
F 4.4441 -3.2458 5.5151
F 0.3614 -1.6454 4.2208
F 2.7638 -4.0911 9.0886
F 1.4947 0.6423 3.1494
F 3.8974 -1.8034 8.0175

=====

Record 7
24
Lattice="-0.0007 -2.0602 -2.0603 12.5669 -2.0547 2.0591 -0.0011 -4.1170 4.1173" Properties=species:S:1:pos:R:3 comment="PBE+U Li5CoOF5, optimized geometry" rho_g_cm3=3.19 relative_energy_mev_per_atom=0 pbc="T T T"
Li 8.3777 -2.0560 2.0590
Li 8.3772 -4.1145 4.1176
Li 12.4796 -4.1149 4.1191
Li 12.4801 -2.0536 2.0576
Li 4.2748 -4.1185 0.0000
Li 4.2742 -6.1742 2.0558
Li 6.3564 -6.1744 4.1167
Li 6.3559 -4.1159 2.0581
Li 10.3978 -6.1732 4.1168
Li 10.3973 -4.1147 2.0582
Co 2.0940 -2.0587 -0.0008
Co 2.0934 -4.1172 2.0579
O 2.0936 -4.1193 -0.0001
O 2.0933 -4.1151 4.1159
F 8.3765 -6.1738 4.1168
F 8.3772 -4.1153 2.0581
F 12.4168 -6.1731 4.1163
F 12.4206 -4.1159 2.0591
F 4.3343 -2.0562 -0.0015
F 4.3370 -4.1160 2.0586
F 6.3473 -2.0563 2.0586
F 6.3468 -4.1154 4.1178
F 10.4075 -4.1158 -0.0010
F 10.4069 -6.1737 2.0571

=====

Record 8
22
Lattice="5.1315 0.0000 0.0000 -1.6772 4.8581 0.0000 -1.8912 -2.2720 8.8911" Properties=species:S:1:pos:R:3 comment="PBE+U Li3Co2OF5, optimized geometry" rho_g_cm3=3.74 relative_energy_mev_per_atom=29 pbc="T T T"
Li 0.0000 0.0000 0.0000
Li -0.8380 2.4246 1.2936
Li -0.1109 0.0386 5.7356
Li -0.9738 2.5800 7.2503
Li 1.7092 2.4607 2.5878
Li 2.5461 0.0597 4.2183
Co -0.8047 2.5062 4.4421
Co 2.5592 0.0273 1.2877
Co 1.5664 2.4245 5.7441
Co 2.4291 0.2126 7.0311
O -1.8567 1.4114 5.7229
O 1.7301 -1.1527 5.7515
F -0.9977 -1.1218 7.1781
F -2.0232 1.4175 8.7251
F 0.9265 1.1746 1.2914
F 0.1070 3.5477 2.7550
F 0.8222 1.1895 4.2407
F 0.6435 1.3030 7.2322
F 1.6984 -1.1080 8.6995
F 2.4976 3.7213 1.2973
F 3.3173 1.3859 2.7703
F 2.5173 3.6987 4.3172

=====

Record 9
20
Lattice="5.0137 0.0000 0.0000 0.9564 5.0338 0.0000 2.3696 2.0756 7.1534" Properties=species:S:1:pos:R:3 comment="PBE+U Li5Co5O9F, optimized geometry" rho_g_cm3=4.53 pbc="T T T"
Li 0.0000 0.0000 0.0000
Li 3.3276 6.2450 4.3809
Li 3.3754 5.3779 1.4201
Li 5.8608 6.6577 5.7122
Li 5.9674 5.8265 2.9201
Co 1.5988 3.1141 2.1722
Co 4.1156 4.3699 6.4730
Co 4.2726 3.6002 3.6289
Co 4.2375 2.7102 0.6544
Co 6.6796 3.9683 5.0357
O 0.7246 1.5927 1.0975
O 2.5644 4.5138 3.3256
O 3.2765 2.9789 5.4155
O 2.6054 3.6672 0.3878
O 5.1238 5.0362 4.6872
O 5.7557 3.3732 6.7650
O 4.9062 4.1211 1.7798
O 5.7399 2.4350 3.9836
O 7.5753 5.4435 6.1097
F 3.2693 1.8124 2.5910

=====

Record 10
14
Lattice="-1.4742 1.4742 14.4797 1.4742 -1.4742 14.4797 1.4742 1.4742 -14.4797" Properties=species:S:1:pos:R:3 comment="PBE+U Li5Co2O2F5, optimized geometry" rho_g_cm3=3.69 pbc="T T T"
Li 0.0000 0.0000 0.0000
Li 0.0000 0.0000 4.0193
Li 0.0000 0.0000 12.4880
Li 0.0000 0.0000 16.4714
Li 0.0000 0.0000 24.9401
Co 0.0000 0.0000 8.1467
Co 0.0000 0.0000 20.8127
O 0.0000 0.0000 6.0887
O 0.0000 0.0000 22.8706
F 0.0000 0.0000 1.9963
F 0.0000 0.0000 10.4711
F 0.0000 0.0000 14.4797
F 0.0000 0.0000 18.4883
F 0.0000 0.0000 26.9631

=====

Record 11
14
Lattice="5.3138 -3.0273 0.0000 5.3138 3.0273 0.0000 -3.4312 0.0000 5.0546" Properties=species:S:1:pos:R:3 comment="PBE+U LiCo5O3F5, optimized geometry" rho_g_cm3=4.54 pbc="T T T"
Li 0.0000 0.0000 0.0000
Co 0.9235 1.4329 2.4366
Co 3.2784 0.0000 0.3793
Co 0.9235 -1.4329 2.4366
Co 3.6070 0.0000 4.6810
Co 8.8506 0.0000 2.4758
O -0.0732 0.0000 3.4801
O 1.5743 0.0000 1.2102
O 7.0841 0.0000 1.5391
F 4.3812 1.5698 1.1262
F 2.6370 1.5449 3.8173
F 4.3812 -1.5698 1.1262
F 2.6370 -1.5449 3.8173
F 5.4162 0.0000 3.7867

=====

Record 12
28
Lattice="5.9006 0.0000 0.0000 0.0000 6.0275 0.0000 -5.8205 0.0000 8.4977" Properties=species:S:1:pos:R:3 comment="PBE+U Li4Co2OF7, optimized geometry" rho_g_cm3=3.24 relative_energy_mev_per_atom=0 pbc="T T T"
Li 0.0000 1.4928 0.0000
Li -2.9103 4.5346 4.2488
Li -1.3653 1.5004 5.2429
Li 1.5450 4.5271 0.9941
Li 3.0747 1.5103 1.9659
Li 0.1644 4.5172 6.2147
Li 1.6088 1.5115 5.2074
Li 4.5191 4.5160 0.9585
Co -0.0435 0.1196 3.1032
Co -2.9538 5.9079 7.3520
Co 0.0363 2.9785 3.1164
Co -2.8740 3.0489 7.3652
O -1.1898 1.4374 3.1184
O -4.1001 4.5901 7.3673
F -4.2520 1.4733 7.3090
F -1.3417 4.5542 3.0602
F -2.8231 2.9246 5.3363
F 0.0872 3.1029 1.0874
F -2.8066 0.0963 5.3598
F 0.1037 5.9311 1.1109
F -1.5472 1.4266 7.3456
F 1.3631 4.6009 3.0968
F 0.1463 0.0615 5.1063
F 3.0565 5.9659 0.8575
F 0.1314 2.9087 5.1393
F 3.0417 3.1188 0.8904
F 1.5532 1.4593 3.1647
F -1.3571 4.5681 7.4136

=====

Let's list DFT formation energy in order: -1490; -2282; -2287; -2095; -2687; -2498; -2817; -2472; -1735; -2538; -1926; -2644 meV/atom.